1.
Material: ZrSiPd
Method: DFT, PBE
State: relaxed

Cell and atoms, written as POSCAR:
```
ZrSiPd
1.0
-0.483 0.960 -3.759
1.088 -6.350 -1.761
-7.514 -1.452 0.594
Zr Si Pd
4 4 4
Direct
0.250 0.026 0.320
0.250 0.526 0.180
0.750 0.974 0.680
0.750 0.474 0.820
0.250 0.263 0.623
0.250 0.763 0.877
0.750 0.737 0.377
0.750 0.237 0.123
0.250 0.144 0.938
0.250 0.644 0.562
0.750 0.856 0.062
0.750 0.356 0.438
```

Results
Calculated formation energy (meV/atom): -1007



2.
Material: GeBi2Te4
Method: DFT, PBE
State: relaxed

Cell and atoms, written as POSCAR:
```
GeBi2Te4
1.0
-3.552 -13.549 -0.314
-0.825 -13.633 3.125
-5.039 -12.541 3.691
Ge Bi Te
1 2 4
Direct
0.000 0.000 0.000
0.575 0.575 0.575
0.425 0.425 0.425
0.866 0.866 0.866
0.134 0.134 0.134
0.707 0.707 0.707
0.293 0.293 0.293
```

Results
Calculated formation energy (meV/atom): -427



3.
Material: KRb2ZrOF5
Method: DFT, PBE
State: relaxed

Cell and atoms, written as POSCAR:
```
KRb2ZrOF5
1.0
-2.431 -1.754 5.882
-4.971 4.287 -0.704
1.145 -4.566 -4.629
K Rb Zr O F
1 2 1 1 5
Direct
0.498 0.498 0.000
0.753 0.253 0.500
0.253 0.753 0.500
0.018 0.018 0.000
0.220 0.220 0.000
0.219 0.770 0.000
0.219 0.219 0.448
0.770 0.770 0.552
0.770 0.219 0.000
0.779 0.779 0.000
```

Results
Spin magnetization (Bohr magnetons per cell): 0.001
Largest piezoelectric modulus (C/m²): 0.90
Calculated formation energy (meV/atom): -3360